Record 1
# Ta2Mn4O9 GGA+U optimized geometry
# Corrected total energy (MP2020 scheme) (eV/cell): -579.232
# Density (g/cm³): 6.63
# Uncorrected energy (eV/cell): -527.8
# Energy above the lowest structure with this stoichiometry (eV per atom): 0.0208
# Formation enthalpy at 0 K (eV per formula unit): -39.91
data_Ta2Mn4O9
_cell_length_a 10.052
_cell_length_b 5.399
_cell_length_c 13.418
_cell_angle_alpha 90.00
_cell_angle_beta 92.61
_cell_angle_gamma 90.00
_symmetry_space_group_name_H-M 'C 1 c 1'
_symmetry_Int_Tables_number 9
loop_
_symmetry_equiv_pos_as_xyz
'x,y,z'
'x,-y,z+1/2'
'x+1/2,y+1/2,z'
'x+1/2,-y+1/2,z+1/2'
loop_
_atom_site_label
_atom_site_fract_x
_atom_site_fract_y
_atom_site_fract_z
Ta1 0.000 0.006 0.000
Ta2 0.164 0.491 0.325
Mn1 0.120 0.499 0.591
Mn2 0.291 0.006 0.927
Mn3 0.325 0.001 0.166
Mn4 0.450 0.493 0.257
O1 0.020 0.368 0.243
O2 0.084 0.185 0.869
O3 0.117 0.306 0.450
O4 0.174 0.125 0.060
O5 0.244 0.344 0.709
O6 0.289 0.214 0.297
O7 0.352 0.381 0.907
O8 0.415 0.191 0.533
O9 0.462 0.312 0.115

---

Record 2
# Ca10V6O25 GGA+U optimized geometry
# Corrected total energy (MP2020 scheme) (eV/cell): -322.030
# Density (g/cm³): 3.01
# Uncorrected energy (eV/cell): -294.7
# Energy above the lowest structure with this stoichiometry (eV per atom): 0.0000
# Formation enthalpy at 0 K (eV per formula unit): -123.77
data_Ca10V6O25
_cell_length_a 10.0600
_cell_length_b 10.0600
_cell_length_c 6.9598
_cell_angle_alpha 90.00
_cell_angle_beta 90.00
_cell_angle_gamma 120.00
_symmetry_space_group_name_H-M 'P 3'
_symmetry_Int_Tables_number 143
loop_
_symmetry_equiv_pos_as_xyz
'x,y,z'
'-y,x-y,z'
'-x+y,-x,z'
loop_
_atom_site_label
_atom_site_fract_x
_atom_site_fract_y
_atom_site_fract_z
Ca1 0.0000 0.0000 0.0000
Ca2 0.0000 0.0000 0.4862
Ca3 0.3333 0.6667 0.0031
Ca4 0.3333 0.6667 0.5025
Ca5 0.3826 0.3240 0.7490
Ca6 0.4576 0.1068 0.2462
V1 0.0236 0.3052 0.7477
V2 0.0771 0.7130 0.2498
O1 0.0056 0.8379 0.2463
O2 0.0099 0.5896 0.4451
O3 0.0196 0.5940 0.0492
O4 0.0778 0.8810 0.7340
O5 0.1569 0.5010 0.7515
O6 0.1929 0.4706 0.2563
O7 0.3338 0.0944 0.9466
O8 0.3605 0.1078 0.5628
O9 0.6667 0.3333 0.2240

---

Record 3
# LiMn3OF5 GGA+U optimized geometry
# Corrected total energy (MP2020 scheme) (eV/cell): -570.298
# Density (g/cm³): 3.58
# Uncorrected energy (eV/cell): -506.3
# Formation enthalpy at 0 K (eV per formula unit): -27.37
data_LiMn3OF5
_cell_length_a 14.207
_cell_length_b 10.178
_cell_length_c 10.141
_cell_angle_alpha 90.00
_cell_angle_beta 134.32
_cell_angle_gamma 90.00
_symmetry_space_group_name_H-M 'C 1 c 1'
_symmetry_Int_Tables_number 9
loop_
_symmetry_equiv_pos_as_xyz
'x,y,z'
'x,-y,z+1/2'
'x+1/2,y+1/2,z'
'x+1/2,-y+1/2,z+1/2'
loop_
_atom_site_label
_atom_site_fract_x
_atom_site_fract_y
_atom_site_fract_z
Li1 0.000 0.234 0.000
Li2 0.013 0.251 0.514
Mn1 0.200 0.242 0.424
Mn2 0.232 0.038 0.219
Mn3 0.240 0.454 0.721
Mn4 0.265 0.255 0.991
Mn5 0.493 0.494 0.748
Mn6 0.499 0.011 0.187
O1 0.094 0.110 0.211
O2 0.129 0.351 0.749
F1 0.084 0.392 0.424
F2 0.114 0.150 0.952
F3 0.127 0.123 0.523
F4 0.139 0.377 0.203
F5 0.347 0.117 0.919
F6 0.348 0.391 0.225
F7 0.350 0.344 0.678
F8 0.374 0.153 0.493
F9 0.379 0.108 0.220
F10 0.407 0.381 0.012

---

Record 4
# Fe4O5F3 GGA+U optimized geometry
# Corrected total energy (MP2020 scheme) (eV/cell): -172.958
# Density (g/cm³): 4.31
# Uncorrected energy (eV/cell): -145.3
# Energy above the lowest structure with this stoichiometry (eV per atom): 0.0282
# Formation enthalpy at 0 K (eV per formula unit): -22.12
data_Fe4O5F3
_cell_length_a 9.668
_cell_length_b 6.022
_cell_length_c 4.808
_cell_angle_alpha 90.00
_cell_angle_beta 96.70
_cell_angle_gamma 90.00
_symmetry_space_group_name_H-M 'C 1 m 1'
_symmetry_Int_Tables_number 8
loop_
_symmetry_equiv_pos_as_xyz
'x,y,z'
'x,-y,z'
'x+1/2,y+1/2,z'
'x+1/2,-y+1/2,z'
loop_
_atom_site_label
_atom_site_fract_x
_atom_site_fract_y
_atom_site_fract_z
Fe1 0.000 0.000 0.000
Fe2 0.024 0.500 0.950
Fe3 0.248 0.256 0.504
O1 0.100 0.240 0.188
O2 0.159 0.500 0.675
O3 0.408 0.258 0.799
F1 0.158 0.000 0.696
F2 0.342 0.000 0.330
F3 0.345 0.500 0.295

---

Record 5
# TiCdFeP3O12 GGA+U optimized geometry
# Corrected total energy (MP2020 scheme) (eV/cell): -841.440
# Density (g/cm³): 3.54
# Uncorrected energy (eV/cell): -778.4
# Formation enthalpy at 0 K (eV per formula unit): -47.34
data_TiCdFeP3O12
_cell_length_a 8.6535
_cell_length_b 8.6535
_cell_length_c 21.7402
_cell_angle_alpha 90.00
_cell_angle_beta 90.00
_cell_angle_gamma 120.00
_symmetry_space_group_name_H-M 'R 3 c'
_symmetry_Int_Tables_number 161
_symmetry_space_group_name_Hall 'R 3 -2"c'
loop_
_atom_site_label
_atom_site_fract_x
_atom_site_fract_y
_atom_site_fract_z
Ti1 0.0000 0.0000 0.0000
Cd1 0.0000 0.0000 0.3519
Fe1 0.0000 0.0000 0.2066
P1 0.0430 0.3756 0.2704
O1 0.0078 0.1920 0.5445
O2 0.0237 0.1885 0.2706
O3 0.1438 0.4713 0.3282
O4 0.1705 0.4789 0.6019

---

Record 6
# Li4FeCo5O12 GGA+U optimized geometry
# Corrected total energy (MP2020 scheme) (eV/cell): -145.418
# Density (g/cm³): 4.51
# Uncorrected energy (eV/cell): -126.7
# Formation enthalpy at 0 K (eV per formula unit): -34.39
data_Li4FeCo5O12
_cell_length_a 4.924
_cell_length_b 4.924
_cell_length_c 9.962
_cell_angle_alpha 89.92
_cell_angle_beta 89.97
_cell_angle_gamma 60.33
_symmetry_space_group_name_H-M 'P 1'
_symmetry_Int_Tables_number 1
loop_
_symmetry_equiv_pos_as_xyz
'x,y,z'
loop_
_atom_site_label
_atom_site_fract_x
_atom_site_fract_y
_atom_site_fract_z
Li1 0.000 0.000 0.000
Li2 0.187 0.823 0.499
Li3 0.500 0.497 0.001
Li4 0.688 0.324 0.498
Fe1 0.349 0.160 0.749
Co1 0.015 0.826 0.749
Co2 0.182 0.001 0.249
Co3 0.511 0.329 0.250
Co4 0.684 0.496 0.749
Co5 0.845 0.663 0.250
O1 0.005 0.154 0.643
O2 0.015 0.496 0.848
O3 0.176 0.327 0.346
O4 0.180 0.670 0.149
O5 0.341 0.816 0.855
O6 0.357 0.505 0.643
O7 0.510 0.663 0.350
O8 0.511 0.995 0.153
O9 0.684 0.825 0.650
O10 0.693 0.168 0.855
O11 0.844 0.328 0.149
O12 0.853 0.998 0.350